Density functional theory data (PBE-GGA) for crystalline Eu2MgSn at its relaxed geometry.

a = 5.5966 Å, b = 5.5966 Å, c = 5.5966 Å
α = 60.00°, β = 60.00°, γ = 60.00°
Fractional positions:
Mg1 0.5000 0.5000 0.5000
Sn1 0.0000 0.0000 0.0000
Eu1 0.2500 0.2500 0.2500
Eu2 0.7500 0.7500 0.7500

## Properties
ΔE_f: -44.25 kJ per mole of atoms
spin magnetization: 3.540 μB per atom
crystal system: cubic